The following is a DFT calculation (PBE+U) of MoC3S2Cl7O after structural relaxation.

Properties
Calculated formation energy (kJ/mol of atoms): -46.4
Raw total energy (eV per atom): -4.752
Symmetry: No. 7

Cell lengths 8.379, 10.331, 9.001 Å; angles 90.00, 107.65, 90.00 degrees
Fractional coordinates of all 28 atoms:
Mo 0.000 0.231 0.000
Mo 0.000 0.769 0.500
C 0.419 0.227 0.474
C 0.419 0.773 0.974
C 0.487 0.335 0.421
C 0.487 0.665 0.921
C 0.625 0.307 0.370
C 0.625 0.693 0.870
S 0.507 0.080 0.462
S 0.507 0.920 0.962
S 0.687 0.150 0.374
S 0.687 0.850 0.874
Cl 0.019 0.047 0.163
Cl 0.019 0.953 0.663
Cl 0.260 0.233 0.551
Cl 0.260 0.767 0.051
Cl 0.283 0.189 0.013
Cl 0.283 0.811 0.513
Cl 0.410 0.487 0.422
Cl 0.410 0.513 0.922
Cl 0.707 0.179 0.900
Cl 0.707 0.821 0.400
Cl 0.736 0.419 0.307
Cl 0.736 0.581 0.807
Cl 0.968 0.319 0.748
Cl 0.968 0.681 0.248
O 0.011 0.360 0.119
O 0.011 0.640 0.619